(1)
NaSn4P3O12: optimized geometry, GGA-PBE.

Results
Crystal system   trigonal
Total energy after the MP2020 corrections   -139.9 eV per formula unit

Unit cell a=10.0608 b=10.0608 c=10.0608 alpha=58.67 beta=58.67 gamma=58.67
Positions (direct):
Na1 0.0000 0.0000 0.0000
Na2 0.5000 0.5000 0.5000
Sn1 0.0476 0.5821 0.7140
Sn2 0.0821 0.5476 0.2140
Sn3 0.1491 0.1491 0.1491
Sn4 0.2140 0.0821 0.5476
Sn5 0.5476 0.2140 0.0821
Sn6 0.5821 0.7140 0.0476
Sn7 0.6491 0.6491 0.6491
Sn8 0.7140 0.0476 0.5821
P1 0.1880 0.7485 0.2883
P2 0.2485 0.6880 0.7883
P3 0.2883 0.1880 0.7485
P4 0.6880 0.7883 0.2485
P5 0.7485 0.2883 0.1880
P6 0.7883 0.2485 0.6880
O1 0.0828 0.9327 0.2747
O2 0.1046 0.6343 0.4574
O3 0.1343 0.6046 0.9574
O4 0.1482 0.1933 0.7177
O5 0.1933 0.7177 0.1482
O6 0.2081 0.8672 0.7700
O7 0.2177 0.6933 0.6482
O8 0.2700 0.3672 0.7081
O9 0.2747 0.0828 0.9327
O10 0.3672 0.7081 0.2700
O11 0.4327 0.5828 0.7747
O12 0.4574 0.1046 0.6343
O13 0.5828 0.7747 0.4327
O14 0.6046 0.9574 0.1343
O15 0.6343 0.4574 0.1046
O16 0.6482 0.2177 0.6933
O17 0.6933 0.6482 0.2177
O18 0.7081 0.2700 0.3672
O19 0.7177 0.1482 0.1933
O20 0.7700 0.2081 0.8672
O21 0.7747 0.4327 0.5828
O22 0.8672 0.7700 0.2081
O23 0.9327 0.2747 0.0828
O24 0.9574 0.1343 0.6046

***

(2)
Na3PO12: optimized geometry, GGA-PBE.

Results
Crystal system   triclinic
Energy   -5.0801 eV per atom

Unit cell a=6.3294 b=11.3997 c=15.8054 alpha=77.55 beta=82.18 gamma=83.08
Positions (direct):
Na1 0.0745 0.3209 0.1400
Na2 0.1054 0.3891 0.7107
Na3 0.2195 0.5180 0.4871
Na4 0.2787 0.0603 0.2996
Na5 0.2893 0.1288 0.5407
Na6 0.3512 0.9062 0.9292
Na7 0.6488 0.0938 0.0708
Na8 0.7107 0.8712 0.4593
Na9 0.7213 0.9397 0.7004
Na10 0.7805 0.4820 0.5129
Na11 0.8946 0.6109 0.2893
Na12 0.9255 0.6791 0.8600
P1 0.1435 0.8170 0.3413
P2 0.4742 0.7109 0.8396
P3 0.5258 0.2891 0.1604
P4 0.8565 0.1830 0.6587
O1 0.0414 0.4372 0.3840
O2 0.0431 0.9920 0.8497
O3 0.0447 0.2012 0.7085
O4 0.0515 0.9226 0.3898
O5 0.0598 0.2812 0.3148
O6 0.0637 0.3151 0.3888
O7 0.0714 0.8095 0.0520
O8 0.1262 0.7265 0.1125
O9 0.1408 0.0205 0.1130
O10 0.1461 0.4636 0.8850
O11 0.1817 0.3229 0.5769
O12 0.1985 0.6976 0.4058
O13 0.2220 0.4234 0.9547
O14 0.2487 0.7261 0.8862
O15 0.3356 0.8575 0.2762
O16 0.3494 0.9746 0.4502
O17 0.3955 0.4093 0.1439
O18 0.3969 0.5376 0.6554
O19 0.3982 0.1809 0.1652
O20 0.4103 0.7204 0.7307
O21 0.4349 0.1189 0.9389
O22 0.4353 0.2093 0.8773
O23 0.4572 0.5971 0.5817
O24 0.4728 0.8110 0.6677
O25 0.5272 0.1890 0.3323
O26 0.5428 0.4029 0.4183
O27 0.5647 0.7907 0.1227
O28 0.5651 0.8811 0.0611
O29 0.5897 0.2796 0.2693
O30 0.6018 0.8191 0.8348
O31 0.6031 0.4624 0.3446
O32 0.6045 0.5907 0.8561
O33 0.6506 0.0254 0.5498
O34 0.6644 0.1425 0.7238
O35 0.7513 0.2739 0.1138
O36 0.7780 0.5766 0.0453
O37 0.8015 0.3024 0.5942
O38 0.8183 0.6771 0.4231
O39 0.8539 0.5364 0.1150
O40 0.8592 0.9795 0.8870
O41 0.8738 0.2735 0.8875
O42 0.9286 0.1905 0.9480
O43 0.9363 0.6849 0.6112
O44 0.9402 0.7188 0.6852
O45 0.9485 0.0774 0.6102
O46 0.9553 0.7988 0.2915
O47 0.9569 0.0080 0.1503
O48 0.9586 0.5628 0.6160

***

(3)
Ga2O3: optimized geometry, GGA-PBE.

Results
Crystal system   triclinic
Total energy after the MP2020 corrections   -31.5 eV per formula unit

Unit cell a=10.1184 b=10.2074 c=10.4518 alpha=86.83 beta=87.57 gamma=88.55
Positions (direct):
Ga1 0.0000 0.0000 0.0000
Ga2 0.9998 0.4336 0.7706
Ga3 0.0061 0.8496 0.2785
Ga4 0.0800 0.3037 0.0552
Ga5 0.1528 0.3811 0.5266
Ga6 0.1748 0.9151 0.4759
Ga7 0.1933 0.6610 0.6166
Ga8 0.2206 0.8047 0.8627
Ga9 0.2281 0.5538 0.0802
Ga10 0.2923 0.0273 0.1137
Ga11 0.3290 0.1801 0.4103
Ga12 0.3465 0.7668 0.2949
Ga13 0.4018 0.5283 0.8145
Ga14 0.4101 0.2786 0.1224
Ga15 0.4383 0.9817 0.5900
Ga16 0.4482 0.4042 0.5889
Ga17 0.4727 0.8274 0.0299
Ga18 0.5009 0.1997 0.8371
Ga19 0.5482 0.5569 0.2180
Ga20 0.5982 0.6895 0.5030
Ga21 0.6598 0.9214 0.7449
Ga22 0.6642 0.1547 0.5082
Ga23 0.6650 0.6585 0.9253
Ga24 0.6854 0.4208 0.7046
Ga25 0.7281 0.3196 0.2079
Ga26 0.7659 0.0420 0.2388
Ga27 0.8062 0.2109 0.9388
Ga28 0.8191 0.8803 0.5238
Ga29 0.8974 0.5856 0.1337
Ga30 0.9179 0.5845 0.4487
Ga31 0.9402 0.7385 0.8319
Ga32 0.9562 0.2810 0.3521
O1 0.0505 0.8338 0.9373
O2 0.0537 0.5068 0.0813
O3 0.0608 0.6138 0.7690
O4 0.0958 0.5634 0.5003
O5 0.1145 0.2457 0.4202
O6 0.1314 0.3396 0.6944
O7 0.1350 0.1127 0.0417
O8 0.1831 0.9046 0.2684
O9 0.2043 0.8275 0.6892
O10 0.2632 0.3735 0.0574
O11 0.2698 0.0470 0.5346
O12 0.2867 0.7700 0.4663
O13 0.2978 0.6348 0.9210
O14 0.3166 0.6165 0.2088
O15 0.3166 0.9024 0.9672
O16 0.3244 0.1596 0.2378
O17 0.3352 0.3504 0.4701
O18 0.3428 0.5617 0.6497
O19 0.4105 0.3502 0.7735
O20 0.4313 0.9022 0.1847
O21 0.4345 0.1512 0.0035
O22 0.5016 0.1003 0.4548
O23 0.5036 0.0439 0.7453
O24 0.5211 0.6773 0.3438
O25 0.5309 0.3712 0.2115
O26 0.5421 0.6553 0.0642
O27 0.5494 0.8319 0.6091
O28 0.5876 0.5492 0.8196
O29 0.5911 0.5184 0.5642
O30 0.6035 0.2829 0.6123
O31 0.6103 0.8386 0.9043
O32 0.6661 0.2854 0.8552
O33 0.7115 0.1697 0.1103
O34 0.7286 0.9257 0.3681
O35 0.7393 0.5006 0.1797
O36 0.7534 0.0293 0.6104
O37 0.7720 0.1976 0.3570
O38 0.7859 0.7012 0.5000
O39 0.8169 0.8117 0.7248
O40 0.8386 0.6548 0.9702
O41 0.8530 0.4697 0.6803
O42 0.8668 0.0511 0.8976
O43 0.8721 0.4270 0.4027
O44 0.9155 0.9576 0.1631
O45 0.9403 0.2742 0.1789
O46 0.9502 0.6794 0.2724
O47 0.9549 0.3261 0.9221
O48 0.9971 0.8874 0.4582

***

(4)
Ge6Bi7O22: optimized geometry, GGA-PBE.

Results
Crystal system   triclinic
Total energy after the MP2020 corrections   -227.1 eV per formula unit

Unit cell a=9.1381 b=9.2457 c=9.2633 alpha=107.85 beta=110.32 gamma=109.36
Positions (direct):
Ge1 0.0000 0.0000 0.0000
Ge2 0.1097 0.2570 0.6172
Ge3 0.3570 0.8587 0.7419
Ge4 0.4870 0.7423 0.2530
Ge5 0.6563 0.3582 0.4964
Ge6 0.8604 0.4922 0.1256
Bi1 0.0703 0.6270 0.8893
Bi2 0.2249 0.9349 0.3660
Bi3 0.3957 0.3025 0.0546
Bi4 0.5707 0.6286 0.8920
Bi5 0.7312 0.1119 0.1791
Bi6 0.7352 0.1130 0.7052
Bi7 0.9075 0.8017 0.5429
O1 0.0084 0.7017 0.3180
O2 0.0239 0.8243 0.0292
O3 0.0888 0.0420 0.5551
O4 0.1437 0.8087 0.7248
O5 0.2013 0.1888 0.1516
O6 0.2897 0.7615 0.1981
O7 0.3141 0.3994 0.8240
O8 0.3827 0.6762 0.7207
O9 0.4031 0.9271 0.5941
O10 0.4542 0.5440 0.2499
O11 0.5055 0.0543 0.9489
O12 0.5487 0.7849 0.1008
O13 0.5557 0.1907 0.5312
O14 0.6100 0.3100 0.2855
O15 0.6506 0.4836 0.0665
O16 0.6756 0.9095 0.4597
O17 0.7988 0.5705 0.6564
O18 0.8012 0.9566 0.0152
O19 0.8848 0.4550 0.9358
O20 0.8939 0.3330 0.1740
O21 0.9294 0.9847 0.7857
O22 0.9381 0.2847 0.6591